(1)
CoBi6S2O16 | GGA+U | relaxed

Values from the calculation:
Its crystal system is monoclinic. For the total magnetization, the calculation gives 1.66 μB/cell.

The structure in CIF format:
```
data_CoBi6S2O16
_symmetry_space_group_name_H-M 'P 1'
_symmetry_Int_Tables_number 1
_cell_length_a 8.9958
_cell_length_b 8.9958
_cell_length_c 31.2121
_cell_angle_alpha 91.68
_cell_angle_beta 91.68
_cell_angle_gamma 36.72
loop_
_symmetry_equiv_pos_as_xyz
'x,y,z'
loop_
_atom_site_label
_atom_site_type_symbol
_atom_site_fract_x
_atom_site_fract_y
_atom_site_fract_z
Co1 Co 0.0000 0.0000 0.0000
Co2 Co 0.4508 0.5494 0.2500
Co3 Co 0.4506 0.5492 0.7500
Co4 Co 0.9506 0.0494 0.5000
Bi1 Bi 0.1247 0.1827 0.0880
Bi2 Bi 0.1269 0.1804 0.5876
Bi3 Bi 0.1440 0.2068 0.9151
Bi4 Bi 0.1456 0.2068 0.4151
Bi5 Bi 0.2908 0.3543 0.8344
Bi6 Bi 0.2932 0.3544 0.3349
Bi7 Bi 0.3191 0.3737 0.1625
Bi8 Bi 0.3196 0.3731 0.6624
Bi9 Bi 0.3877 0.6043 0.4179
Bi10 Bi 0.3892 0.6001 0.9167
Bi11 Bi 0.3957 0.6123 0.5821
Bi12 Bi 0.3999 0.6108 0.0833
Bi13 Bi 0.6263 0.6809 0.8375
Bi14 Bi 0.6269 0.6804 0.3376
Bi15 Bi 0.6456 0.7068 0.6651
Bi16 Bi 0.6457 0.7092 0.1656
Bi17 Bi 0.7932 0.8544 0.5849
Bi18 Bi 0.7932 0.8560 0.0849
Bi19 Bi 0.8173 0.8753 0.9120
Bi20 Bi 0.8196 0.8731 0.4124
Bi21 Bi 0.8880 0.1044 0.1680
Bi22 Bi 0.8877 0.1043 0.6679
Bi23 Bi 0.8957 0.1123 0.3321
Bi24 Bi 0.8956 0.1120 0.8320
S1 S 0.1588 0.1259 0.2461
S2 S 0.1587 0.1261 0.7460
S3 S 0.3740 0.3413 0.5039
S4 S 0.3779 0.3442 0.0038
S5 S 0.6558 0.6221 0.9962
S6 S 0.6587 0.6260 0.4961
S7 S 0.8739 0.8413 0.2540
S8 S 0.8741 0.8412 0.7539
O1 O 0.0117 0.9302 0.9401
O2 O 0.0142 0.9273 0.4420
O3 O 0.0698 0.9883 0.0599
O4 O 0.0727 0.9858 0.5580
O5 O 0.1405 0.6777 0.6185
O6 O 0.1412 0.6713 0.8700
O7 O 0.1406 0.6777 0.1187
O8 O 0.1434 0.6712 0.3710
O9 O 0.1448 0.6614 0.2619
O10 O 0.1450 0.6610 0.7618
O11 O 0.1463 0.1689 0.2934
O12 O 0.1457 0.1691 0.7934
O13 O 0.2203 0.5944 0.5197
O14 O 0.2221 0.6009 0.0190
O15 O 0.2438 0.1862 0.2221
O16 O 0.2440 0.1864 0.7222
O17 O 0.3116 0.2660 0.0284
O18 O 0.3137 0.2560 0.5279
O19 O 0.3223 0.8594 0.8813
O20 O 0.3223 0.8595 0.3815
O21 O 0.3288 0.8566 0.6290
O22 O 0.3287 0.8588 0.1300
O23 O 0.3309 0.3540 0.4566
O24 O 0.3320 0.3571 0.9565
O25 O 0.3390 0.8550 0.2382
O26 O 0.3386 0.8552 0.7381
O27 O 0.3991 0.7779 0.9810
O28 O 0.4056 0.7797 0.4803
O29 O 0.4520 0.0474 0.8751
O30 O 0.4533 0.0465 0.3750
O31 O 0.4727 0.0275 0.6250
O32 O 0.4728 0.0286 0.1250
O33 O 0.5141 0.4274 0.1920
O34 O 0.5142 0.4273 0.6919
O35 O 0.5727 0.4858 0.3081
O36 O 0.5726 0.4859 0.8080
O37 O 0.6381 0.1788 0.8679
O38 O 0.6406 0.1776 0.3686
O39 O 0.6434 0.1712 0.6209
O40 O 0.6435 0.1717 0.1211
O41 O 0.6429 0.6680 0.0435
O42 O 0.6449 0.1612 0.5119
O43 O 0.6460 0.6691 0.5434
O44 O 0.6467 0.1660 0.0116
O45 O 0.7205 0.0944 0.7695
O46 O 0.7201 0.0945 0.2697
O47 O 0.7340 0.6884 0.9716
O48 O 0.7440 0.6863 0.4721
O49 O 0.8136 0.7560 0.2778
O50 O 0.8138 0.7562 0.7779
O51 O 0.8212 0.3619 0.1321
O52 O 0.8224 0.3594 0.6314
O53 O 0.8283 0.3565 0.8789
O54 O 0.8288 0.3566 0.3791
O55 O 0.8309 0.8543 0.2066
O56 O 0.8311 0.8537 0.7066
O57 O 0.8340 0.3533 0.9884
O58 O 0.8388 0.3551 0.4881
O59 O 0.9055 0.2799 0.7303
O60 O 0.9056 0.2795 0.2305
O61 O 0.9535 0.5467 0.6250
O62 O 0.9526 0.5480 0.1249
O63 O 0.9714 0.5272 0.8750
O64 O 0.9725 0.5273 0.3750
```

=====

(2)
CoBi6S2O16 | GGA+U | relaxed

Values from the calculation:
Its crystal system is monoclinic. For the total magnetization, the calculation gives 0.00 μB/cell.

The structure in CIF format:
```
data_CoBi6S2O16
_symmetry_space_group_name_H-M 'P 1'
_symmetry_Int_Tables_number 1
_cell_length_a 11.4094
_cell_length_b 5.6640
_cell_length_c 23.4485
_cell_angle_alpha 90.00
_cell_angle_beta 95.04
_cell_angle_gamma 90.00
loop_
_symmetry_equiv_pos_as_xyz
'x,y,z'
loop_
_atom_site_label
_atom_site_type_symbol
_atom_site_fract_x
_atom_site_fract_y
_atom_site_fract_z
Co1 Co 0.0000 0.9998 0.0000
Co2 Co 0.0000 0.0000 0.5000
Co3 Co 0.5004 0.4528 0.2496
Co4 Co 0.4996 0.4528 0.7504
Bi1 Bi 0.0082 0.9811 0.3271
Bi2 Bi 0.0083 0.9814 0.8270
Bi3 Bi 0.1680 0.5574 0.0799
Bi4 Bi 0.1681 0.5572 0.5798
Bi5 Bi 0.1707 0.4781 0.2388
Bi6 Bi 0.1705 0.4777 0.7386
Bi7 Bi 0.3277 0.0533 0.1692
Bi8 Bi 0.3277 0.0532 0.6692
Bi9 Bi 0.3292 0.9764 0.0104
Bi10 Bi 0.3293 0.9765 0.5103
Bi11 Bi 0.4947 0.4799 0.4226
Bi12 Bi 0.4946 0.4798 0.9227
Bi13 Bi 0.5054 0.4798 0.0773
Bi14 Bi 0.5053 0.4799 0.5774
Bi15 Bi 0.6708 0.9764 0.9896
Bi16 Bi 0.6707 0.9765 0.4897
Bi17 Bi 0.6723 0.0532 0.3308
Bi18 Bi 0.6723 0.0533 0.8308
Bi19 Bi 0.8295 0.4777 0.2614
Bi20 Bi 0.8293 0.4781 0.7612
Bi21 Bi 0.8319 0.5572 0.4202
Bi22 Bi 0.8320 0.5574 0.9201
Bi23 Bi 0.9917 0.9814 0.1730
Bi24 Bi 0.9918 0.9811 0.6729
S1 S 0.1343 0.4313 0.4244
S2 S 0.1343 0.4315 0.9244
S3 S 0.3679 0.9308 0.3235
S4 S 0.3675 0.9317 0.8236
S5 S 0.6321 0.9308 0.6765
S6 S 0.6325 0.9317 0.1764
S7 S 0.8657 0.4315 0.0756
S8 S 0.8657 0.4313 0.5756
O1 O 0.0000 0.2270 0.2500
O2 O 0.0000 0.2270 0.7500
O3 O 0.0000 0.7466 0.2500
O4 O 0.0000 0.7466 0.7500
O5 O 0.0522 0.6333 0.4335
O6 O 0.0522 0.6336 0.9334
O7 O 0.0734 0.2046 0.9389
O8 O 0.0736 0.2042 0.4388
O9 O 0.1454 0.7213 0.6636
O10 O 0.1456 0.7219 0.1636
O11 O 0.1455 0.9052 0.0425
O12 O 0.1455 0.9055 0.5425
O13 O 0.1465 0.2151 0.1665
O14 O 0.1466 0.2149 0.6665
O15 O 0.1600 0.4199 0.3641
O16 O 0.1601 0.4198 0.8641
O17 O 0.2431 0.4602 0.4645
O18 O 0.2431 0.4603 0.9645
O19 O 0.2570 0.9654 0.7847
O20 O 0.2575 0.9645 0.2845
O21 O 0.3445 0.9215 0.3842
O22 O 0.3444 0.9218 0.8844
O23 O 0.3511 0.4052 0.2055
O24 O 0.3514 0.4054 0.7054
O25 O 0.3506 0.7143 0.0826
O26 O 0.3506 0.7144 0.5826
O27 O 0.3527 0.2184 0.0856
O28 O 0.3528 0.2183 0.5856
O29 O 0.4270 0.7061 0.3078
O30 O 0.4265 0.7071 0.8078
O31 O 0.4500 0.1352 0.3141
O32 O 0.4497 0.1360 0.8143
O33 O 0.5000 0.2459 0.0000
O34 O 0.5000 0.2463 0.5000
O35 O 0.5000 0.7254 0.0000
O36 O 0.5000 0.7257 0.5000
O37 O 0.5500 0.1352 0.6859
O38 O 0.5503 0.1360 0.1857
O39 O 0.5730 0.7061 0.6922
O40 O 0.5735 0.7071 0.1922
O41 O 0.6472 0.2183 0.4144
O42 O 0.6473 0.2184 0.9144
O43 O 0.6486 0.4054 0.2946
O44 O 0.6489 0.4052 0.7945
O45 O 0.6494 0.7144 0.4174
O46 O 0.6494 0.7143 0.9174
O47 O 0.6555 0.9215 0.6158
O48 O 0.6556 0.9218 0.1156
O49 O 0.7425 0.9645 0.7155
O50 O 0.7430 0.9654 0.2153
O51 O 0.7569 0.4603 0.0355
O52 O 0.7569 0.4602 0.5355
O53 O 0.8399 0.4198 0.1359
O54 O 0.8400 0.4199 0.6359
O55 O 0.8534 0.2149 0.3335
O56 O 0.8535 0.2151 0.8335
O57 O 0.8544 0.7219 0.8364
O58 O 0.8545 0.9055 0.4575
O59 O 0.8545 0.9052 0.9575
O60 O 0.8546 0.7213 0.3364
O61 O 0.9264 0.2042 0.5612
O62 O 0.9266 0.2046 0.0611
O63 O 0.9478 0.6333 0.5665
O64 O 0.9478 0.6336 0.0666
```

=====

Quick ranking, most stable first: (2), (1).